An optimized crystal structure of Li2V3SnO8. Source: the Materials Project, functional GGA+U.

calculated formation energy	-224.2	kJ per mole of atoms
total energy	-386.40	eV for the cell shown
distance to the lowest polymorph of the same formula	10.18	kJ per mole of atoms

abc: 8.487 8.487 8.487
angles: 90.00 90.00 90.00
Positions (direct):
V  0.114  0.117  0.613
O  0.150  0.859  0.124
O  0.381  0.381  0.381
O  0.124  0.150  0.859
O  0.359  0.376  0.850
Li  0.629  0.629  0.629
O  0.350  0.141  0.624
O  0.864  0.864  0.864
O  0.874  0.889  0.393
V  0.614  0.383  0.387
V  0.113  0.386  0.883
V  0.117  0.613  0.114
Li  0.247  0.247  0.247
O  0.607  0.374  0.611
O  0.389  0.107  0.126
O  0.374  0.611  0.607
V  0.386  0.883  0.113
O  0.364  0.636  0.136
O  0.641  0.876  0.650
O  0.111  0.893  0.626
O  0.893  0.626  0.111
V  0.387  0.614  0.383
Li  0.371  0.129  0.871
O  0.126  0.389  0.107
V  0.883  0.113  0.386
Li  0.747  0.253  0.753
O  0.119  0.619  0.881
O  0.136  0.364  0.636
Li  0.129  0.871  0.371
O  0.393  0.874  0.889
O  0.626  0.111  0.893
V  0.617  0.887  0.886
Sn  0.003  0.003  0.003
O  0.889  0.393  0.874
O  0.881  0.119  0.619
Sn  0.497  0.997  0.503
V  0.886  0.617  0.887
O  0.611  0.607  0.374
Li  0.871  0.371  0.129
Sn  0.997  0.503  0.497
O  0.624  0.350  0.141
V  0.887  0.886  0.617
O  0.876  0.650  0.641
O  0.650  0.641  0.876
Li  0.753  0.747  0.253
O  0.107  0.126  0.389
Sn  0.503  0.497  0.997
Li  0.253  0.753  0.747
O  0.850  0.359  0.376
O  0.141  0.624  0.350
O  0.859  0.124  0.150
O  0.376  0.850  0.359
O  0.636  0.136  0.364
V  0.383  0.387  0.614
V  0.613  0.114  0.117
O  0.619  0.881  0.119